# 1
! PrTlCd, optimized geometry, DFT r²SCAN; values from VASP
&SYSTEM
  ibrav = 0, nat = 6, ntyp = 3
/
ATOMIC_SPECIES
Pr 140.91 Pr.upf
Tl 204.38 Tl.upf
Cd 112.41 Cd.upf
CELL_PARAMETERS angstrom
-3.5868 -2.7070 2.1087
4.0339 -2.2305 -1.8442
3.5029 0.6834 6.8355
ATOMIC_POSITIONS angstrom
Pr 1.7515 0.3417 3.4178
Pr 0.0000 0.0000 0.0000
Tl 4.1208 -1.8767 4.6001
Tl -0.1708 -2.3774 2.4999
Cd 2.3691 -2.2180 1.1824
Cd 1.5809 -2.0361 5.9176
! **Energy of formation from the pure elements**: -0.43 eV per atom
! **Raw total energy**: -34.6625 eV/atom

***

# 2
! LiScAu2, optimized geometry, DFT r²SCAN; values from VASP
&SYSTEM
  ibrav = 0, nat = 4, ntyp = 3
/
ATOMIC_SPECIES
Li 6.94 Li.upf
Sc 44.96 Sc.upf
Au 196.97 Au.upf
CELL_PARAMETERS angstrom
2.2515 1.3666 3.7978
-0.9435 4.1094 1.8929
-2.2200 0.2249 4.0474
ATOMIC_POSITIONS angstrom
Li -0.2280 1.4252 2.4345
Sc -0.6840 4.2756 7.3035
Au -0.4560 2.8504 4.8690
Au -2.2200 0.2249 4.0474
! **Energy of formation from the pure elements**: -0.73 eV per atom
! **Raw total energy**: -29.4694 eV/atom

***

# 3
! TbIn5Co, optimized geometry, DFT r²SCAN; values from VASP
&SYSTEM
  ibrav = 0, nat = 7, ntyp = 3
/
ATOMIC_SPECIES
Tb 158.93 Tb.upf
In 114.82 In.upf
Co 58.93 Co.upf
CELL_PARAMETERS angstrom
4.5472 0.0000 0.0000
0.0000 4.5472 0.0000
0.0000 0.0000 7.4632
ATOMIC_POSITIONS angstrom
Tb 0.0000 0.0000 0.0000
In 0.0000 2.2736 2.2976
In 0.0000 2.2736 5.1656
In 2.2736 0.0000 2.2976
In 2.2736 0.0000 5.1656
In 2.2736 2.2736 0.0000
Co 0.0000 0.0000 3.7316
! **Energy of formation from the pure elements**: -0.32 eV per atom
! **Raw total energy**: -22.7983 eV/atom

***

# 4
! Nb3In, optimized geometry, DFT r²SCAN; values from VASP
&SYSTEM
  ibrav = 0, nat = 8, ntyp = 2
/
ATOMIC_SPECIES
Nb 92.91 Nb.upf
In 114.82 In.upf
CELL_PARAMETERS angstrom
5.3280 0.0000 0.0000
0.0000 5.3281 0.0000
0.0000 0.0000 5.3281
ATOMIC_POSITIONS angstrom
Nb 2.6640 1.3320 0.0000
Nb 2.6640 3.9961 0.0000
Nb 1.3320 5.3280 2.6640
Nb 3.9960 5.3280 2.6640
Nb 0.0000 2.6641 1.3320
Nb 0.0000 2.6641 3.9960
In 2.6640 2.6641 2.6640
In 0.0000 5.3280 0.0000
! **Energy of formation from the pure elements**: -0.05 eV per atom
! **Raw total energy**: -24.2444 eV/atom

***

# 5
! CsOs2O9, optimized geometry, DFT r²SCAN; values from VASP
&SYSTEM
  ibrav = 0, nat = 24, ntyp = 3
/
ATOMIC_SPECIES
Cs 132.91 Cs.upf
Os 190.23 Os.upf
O 16.00 O.upf
CELL_PARAMETERS angstrom
-4.8749 -5.8378 1.7099
-0.2225 -5.9792 4.9959
-5.8299 2.7618 8.3704
ATOMIC_POSITIONS angstrom
Cs -6.3349 -1.9770 8.7604
Cs -3.3058 -3.3624 4.6558
Os -3.2916 -4.5614 9.0796
Os -4.7261 -5.8107 1.8217
Os -6.8195 -6.3441 10.0090
Os -4.4990 -7.7071 5.4054
O -2.8468 -0.2744 3.8273
O -5.5827 1.1003 8.1384
O -8.6844 -3.9291 7.2793
O -1.2069 -5.4488 6.3161
O -3.7599 -3.6407 7.6956
O -9.0584 -2.1881 10.1968
O -6.3278 -3.8577 6.0238
O -6.6360 -2.5560 12.0485
O -5.4169 -5.2585 8.7540
O -3.7400 -6.6021 3.6953
O -8.0586 -7.0346 11.0150
O -5.0609 -8.4188 6.8893
O -5.1749 -0.9767 5.7843
O -0.8498 -2.3998 2.5965
O -7.1809 -4.6585 10.2063
O -4.4958 -6.0326 5.8605
O -7.1746 -7.0834 8.4926
O -8.8122 -5.7418 13.5809
! **Energy of formation from the pure elements**: -1.01 eV per atom
! **Raw total energy**: -16.4089 eV/atom

***

# 6
! Zr5Si4, optimized geometry, DFT r²SCAN; values from VASP
&SYSTEM
  ibrav = 0, nat = 36, ntyp = 2
/
ATOMIC_SPECIES
Zr 91.22 Zr.upf
Si 28.09 Si.upf
CELL_PARAMETERS angstrom
-0.2601 -1.1681 -7.0420
5.9652 -3.9058 0.4275
-7.1626 -10.7157 2.0421
ATOMIC_POSITIONS angstrom
Zr 0.2009 -6.4082 -1.5140
Zr 3.0605 -8.8999 -4.8290
Zr -0.0402 -1.9261 0.3112
Zr 0.3502 -11.2192 -5.3875
Zr -3.4722 -12.0950 -2.5413
Zr -2.4799 -8.6508 -2.1059
Zr 2.8363 -4.4253 -2.9836
Zr -6.2854 -9.5340 0.7605
Zr 3.3570 -4.0832 -6.6840
Zr -1.7429 -7.1112 1.2359
Zr -1.1179 -14.9940 -2.1741
Zr -2.6763 -10.5495 0.7689
Zr 0.7091 -6.0028 -5.1960
Zr -0.7771 -3.4651 -3.0273
Zr -0.1706 -11.5619 -1.6904
Zr -3.4110 -5.3909 -1.5226
Zr 0.2728 -8.7855 -3.4474
Zr -4.5392 -9.6855 -4.1992
Zr 3.0817 -6.1041 -0.3732
Zr 1.8510 -1.6462 -2.1461
Si 1.0208 -7.4879 0.8310
Si -5.1741 -12.3349 -4.6348
Si -3.8986 -7.0386 -3.7567
Si 1.2754 -4.0013 -0.8290
Si -1.8474 -10.4637 -3.9959
Si -4.7411 -10.0023 -1.4150
Si 2.3982 -7.1121 -2.9049
Si 5.1370 -4.7179 -1.5843
Si -1.3726 -12.9109 -3.9867
Si -1.1208 -4.4286 -0.2903
Si 3.6080 -6.1629 -4.8671
Si -0.3153 -9.0045 -0.6281
Si 1.4031 -2.9772 -4.6699
Si -1.4751 -6.4890 -3.5582
Si -2.5276 -13.1086 -0.2885
Si -4.0294 -8.0768 -0.0006
! **Energy of formation from the pure elements**: -0.96 eV per atom
! **Raw total energy**: -17.4935 eV/atom

***

# 7
! HfBr4, optimized geometry, DFT r²SCAN; values from VASP
&SYSTEM
  ibrav = 0, nat = 40, ntyp = 2
/
ATOMIC_SPECIES
Hf 178.49 Hf.upf
Br 79.90 Br.upf
CELL_PARAMETERS angstrom
-7.6497 8.8641 1.0089
0.5449 -0.8622 11.7076
8.9047 7.6676 0.1502
ATOMIC_POSITIONS angstrom
Hf 0.2301 2.0036 1.6452
Hf 1.5697 13.6659 11.2214
Hf 3.2195 7.3609 10.6803
Hf -3.0157 10.0427 8.2866
Hf -1.4196 8.3086 2.1863
Hf 4.8156 5.6268 4.5801
Hf 3.1658 11.9318 5.1212
Hf -1.3660 3.7377 7.7455
Br -5.0500 10.2834 6.9532
Br 6.8499 5.3861 5.9135
Br 3.0764 9.8624 6.4188
Br 2.1309 1.9743 0.1088
Br 3.1049 5.2620 11.9276
Br -1.2765 5.8072 6.4479
Br -0.3310 13.6953 12.7579
Br -1.3050 10.4075 0.9390
Br 3.4425 9.2190 12.2526
Br -1.0766 10.0275 6.7986
Br -1.6427 6.4505 0.6141
Br 2.8765 5.6420 6.0680
Br -1.8380 2.2230 0.3611
Br 3.6378 13.4465 12.5056
Br 3.4095 13.8266 6.6460
Br -1.6096 1.8430 6.2207
Br 5.0926 11.8560 3.6192
Br -3.2927 3.8135 9.2475
Br 0.1785 -0.0934 2.8999
Br 1.6214 15.7629 9.9667
Br -2.8341 11.9340 9.8241
Br 4.6340 3.7355 3.0425
Br 1.1627 7.6424 9.3900
Br 0.6371 8.0271 3.4766
Br 0.4463 3.8850 3.1901
Br 1.3536 11.7845 9.6766
Br 5.1417 7.3208 9.1715
Br -3.1010 7.9542 9.5531
Br -3.3419 8.3487 3.6952
Br 4.9008 7.7153 3.3135
Br 1.1127 12.1790 3.8186
Br 0.6871 3.4905 9.0481
! **Energy of formation from the pure elements**: -1.54 eV per atom
! **Raw total energy**: -21.1798 eV/atom

***

# 8
! PmPrMg2, optimized geometry, DFT r²SCAN; values from VASP
&SYSTEM
  ibrav = 0, nat = 4, ntyp = 3
/
ATOMIC_SPECIES
Pm 145.00 Pm.upf
Pr 140.91 Pr.upf
Mg 24.30 Mg.upf
CELL_PARAMETERS angstrom
0.0000 3.8916 3.8916
3.8916 0.0000 3.8916
3.8916 3.8916 0.0000
ATOMIC_POSITIONS angstrom
Pm 3.8916 3.8916 3.8916
Pr 0.0000 0.0000 0.0000
Mg 1.9458 1.9458 1.9458
Mg 5.8374 5.8374 5.8374
! **Energy of formation from the pure elements**: -0.11 eV per atom
! **Raw total energy**: -16.9322 eV/atom

***

# 9
! SiO2, optimized geometry, DFT r²SCAN; values from VASP
&SYSTEM
  ibrav = 0, nat = 36, ntyp = 2
/
ATOMIC_SPECIES
Si 28.09 Si.upf
O 16.00 O.upf
CELL_PARAMETERS angstrom
5.0556 0.0000 0.0000
0.0000 10.8924 -2.4397
0.0000 0.0860 11.1620
ATOMIC_POSITIONS angstrom
Si 1.1375 10.8708 2.2308
Si 0.8010 7.9297 1.2894
Si 3.6653 0.1076 6.4915
Si 3.6640 3.7663 1.9140
Si 3.6640 8.2625 5.4862
Si 1.1362 7.2122 6.8083
Si 3.3288 3.0488 7.4329
Si 3.3289 6.7999 2.7115
Si 1.1362 2.7159 3.2360
Si 1.1375 6.3478 -1.3628
Si 0.8011 4.1786 6.0108
Si 3.6653 4.6307 10.0850
O 3.5679 1.4640 7.3453
O 0.1039 5.1505 -1.0400
O 3.5679 3.4924 8.9568
O 1.0395 5.7627 6.1078
O 1.8137 3.3955 6.9965
O 3.5673 5.2158 2.6145
O 0.7945 7.1006 8.3765
O 3.3223 3.8779 0.3457
O 3.5673 7.2525 4.2326
O 1.8129 7.1455 2.2765
O 2.6317 5.8280 9.7623
O 4.3407 3.8330 6.4458
O 0.0966 3.1799 2.0957
O 1.0395 3.7260 4.4897
O 4.3415 7.5830 1.7258
O 3.3223 9.7650 5.0229
O 2.6317 0.1514 5.2523
O 2.6244 7.7986 6.6266
O 0.7945 1.2135 3.6993
O 1.0401 9.5145 1.3770
O 0.0966 8.2181 6.0985
O 0.1039 10.8271 3.4700
O 2.6244 2.7604 2.6238
O 1.0401 7.4861 -0.2346
! **Energy of formation from the pure elements**: -3.02 eV per atom
! **Raw total energy**: -9.9313 eV/atom

***

# 10
! NdAl3Cu, optimized geometry, DFT r²SCAN; values from VASP
&SYSTEM
  ibrav = 0, nat = 5, ntyp = 3
/
ATOMIC_SPECIES
Nd 144.24 Nd.upf
Al 26.98 Al.upf
Cu 63.55 Cu.upf
CELL_PARAMETERS angstrom
-2.1073 2.1073 5.3035
2.1073 -2.1073 5.3035
2.1073 2.1073 -5.3035
ATOMIC_POSITIONS angstrom
Nd 0.0000 0.0000 0.0034
Al 0.0000 0.0000 4.3328
Al 2.1073 0.0000 2.6493
Al 0.0000 2.1073 2.6493
Cu 0.0000 0.0000 6.7150
! **Energy of formation from the pure elements**: -0.52 eV per atom
! **Raw total energy**: -12.6108 eV/atom

***

# 11
! BiKrF7, optimized geometry, DFT r²SCAN; values from VASP
&SYSTEM
  ibrav = 0, nat = 36, ntyp = 3
/
ATOMIC_SPECIES
Bi 208.98 Bi.upf
Kr 83.80 Kr.upf
F 19.00 F.upf
CELL_PARAMETERS angstrom
10.5932 0.0000 0.0000
0.0000 5.2912 0.0127
0.0000 1.0342 10.9701
ATOMIC_POSITIONS angstrom
Bi 10.4981 3.9460 8.0560
Bi 5.2015 2.8965 8.4119
Bi 0.0951 2.3794 2.9268
Bi 5.3917 3.4289 2.5709
Kr 2.4988 5.7660 5.7707
Kr 7.7954 1.0765 10.6971
Kr 8.0944 0.5594 5.2121
Kr 2.7978 5.2489 0.2857
F 4.0646 1.2866 5.2768
F 9.3612 4.5217 0.2210
F 6.5287 5.0388 5.7060
F 1.2321 1.8038 10.7618
F 6.7471 2.7521 1.2554
F 1.4505 3.0563 4.2424
F 3.8461 3.5734 9.7274
F 9.1427 3.2692 6.7404
F 6.4969 5.1047 2.7219
F 1.2003 0.7036 2.7759
F 4.0963 1.2208 8.2609
F 9.3929 5.6218 8.2069
F 4.6054 4.3697 0.7746
F 9.9020 1.4386 4.7232
F 5.9878 1.9558 10.2082
F 0.6912 4.8868 6.2596
F 6.2183 2.5778 4.1846
F 0.9217 3.2305 1.3132
F 4.3750 3.7476 6.7982
F 9.6716 3.0950 9.6696
F 4.1733 1.8957 2.1338
F 9.4699 3.9127 3.3639
F 6.4199 4.4298 8.8490
F 1.1233 2.4128 7.6189
F 1.4214 4.8522 8.9937
F 6.7180 1.9904 7.4741
F 9.1718 1.4732 1.9890
F 3.8752 4.3351 3.5087
! **Energy of formation from the pure elements**: -1.26 eV per atom
! **Raw total energy**: -11.5891 eV/atom

***

# 12
! Zn2RuN3, optimized geometry, DFT r²SCAN; values from VASP
&SYSTEM
  ibrav = 0, nat = 12, ntyp = 3
/
ATOMIC_SPECIES
Zn 65.41 Zn.upf
Ru 101.07 Ru.upf
N 14.01 N.upf
CELL_PARAMETERS angstrom
-4.7815 -0.9963 -2.7983
2.0511 -3.8817 3.4592
-2.7651 2.0872 3.9817
ATOMIC_POSITIONS angstrom
Zn -1.2123 -2.5603 3.8116
Zn -3.4769 -1.5884 1.7294
Zn -5.5182 0.7018 2.6094
Zn -3.2535 -0.2701 4.6915
Ru -0.9553 -1.2179 6.7046
Ru -0.9306 0.3080 2.4239
N -2.1698 -1.7980 5.4135
N -4.5460 -0.9133 3.2996
N -3.9034 -0.5567 0.0610
N -1.5272 -1.4414 2.1748
N 0.8408 -2.6196 4.2443
N -1.9802 1.1463 3.8092
! **Energy of formation from the pure elements**: 0.10 eV per atom
! **Raw total energy**: -11.6709 eV/atom